! Mg3BiO4 (PBE-GGA, optimized geometry); values from VASP
! corrected total energy (MP2020 scheme)	-5.654	eV/atom
! calculated formation energy	-16.75	eV/f.u.
! total DFT energy (no corrections)	-42.49	eV/cell
! symmetry	Pm-3m
&SYSTEM
  ibrav = 0, nat = 8, ntyp = 3
/
ATOMIC_SPECIES
Mg 24.30 Mg.upf
Bi 208.98 Bi.upf
O 16.00 O.upf
CELL_PARAMETERS angstrom
4.690 0.000 0.000
0.000 4.690 0.000
0.000 0.000 4.690
ATOMIC_POSITIONS angstrom
Mg 0.000 0.000 2.345
Mg 0.000 2.345 0.000
Mg 2.345 0.000 0.000
Bi 2.345 2.345 2.345
O 0.000 0.000 0.000
O 0.000 2.345 2.345
O 2.345 0.000 2.345
O 2.345 2.345 0.000



! Mg3Bi2O7 (PBE-GGA, optimized geometry); values from VASP
! corrected total energy (MP2020 scheme)	-6.088	eV/atom
! calculated formation energy	-25.84	eV/f.u.
! total DFT energy (no corrections)	-136.50	eV/cell
! symmetry	Cmc2_1
&SYSTEM
  ibrav = 0, nat = 24, ntyp = 3
/
ATOMIC_SPECIES
Mg 24.30 Mg.upf
Bi 208.98 Bi.upf
O 16.00 O.upf
CELL_PARAMETERS angstrom
9.790 -2.841 0.000
9.790 2.841 0.000
0.000 0.000 5.648
ATOMIC_POSITIONS angstrom
Mg 5.754 1.150 2.530
Mg 9.790 1.484 2.824
Mg 5.754 -1.150 5.355
Mg 13.827 1.150 2.530
Mg 9.790 -1.484 0.000
Mg 13.827 -1.150 5.355
Bi 7.741 1.490 5.605
Bi 11.840 1.490 5.605
Bi 7.741 -1.490 2.781
Bi 11.840 -1.490 2.781
O 2.855 0.530 0.910
O 9.790 2.371 4.688
O 5.697 0.743 0.461
O 2.855 -0.530 3.735
O 8.283 0.485 1.898
O 5.697 -0.743 3.286
O 11.298 0.485 1.898
O 8.283 -0.485 4.722
O 13.884 0.743 0.461
O 11.298 -0.485 4.722
O 16.726 0.530 0.910
O 13.884 -0.743 3.286
O 9.790 -2.371 1.863
O 16.726 -0.530 3.735



! MgBi2O5 (PBE-GGA, optimized geometry); values from VASP
! corrected total energy (MP2020 scheme)	-6.037	eV/atom
! calculated formation energy	-14.17	eV/f.u.
! total DFT energy (no corrections)	-179.44	eV/cell
! symmetry	P2_1/c
&SYSTEM
  ibrav = 0, nat = 32, ntyp = 3
/
ATOMIC_SPECIES
Mg 24.30 Mg.upf
Bi 208.98 Bi.upf
O 16.00 O.upf
CELL_PARAMETERS angstrom
5.514 0.000 0.000
0.000 11.880 0.000
-3.280 0.000 8.047
ATOMIC_POSITIONS angstrom
Mg -0.248 0.974 1.308
Mg -1.888 4.966 5.331
Mg 4.122 6.914 2.715
Mg 2.482 10.906 6.738
Bi 1.696 7.422 0.346
Bi 0.056 10.398 4.370
Bi -0.337 1.221 6.843
Bi 1.303 4.719 2.820
Bi 0.930 7.161 5.227
Bi 2.571 10.659 1.203
Bi 2.178 1.482 3.677
Bi 0.537 4.458 7.700
O 0.284 6.442 1.464
O -1.356 11.378 5.488
O -0.476 8.448 3.832
O -2.116 9.371 7.856
O 1.345 0.276 0.097
O -0.295 5.664 4.120
O 0.709 2.293 2.528
O -0.931 3.647 6.551
O -0.864 6.464 6.701
O 0.777 11.356 2.678
O 1.457 0.524 5.369
O 3.097 5.416 1.346
O 3.165 8.232 1.495
O 1.525 9.587 5.519
O 2.528 6.216 3.927
O 0.888 11.604 7.950
O 4.350 2.508 0.191
O 2.709 3.432 4.214
O 3.590 0.502 2.559
O 1.949 5.438 6.582



! MgBiO3 (PBE-GGA, optimized geometry); values from VASP
! corrected total energy (MP2020 scheme)	-6.048	eV/atom
! calculated formation energy	-9.90	eV/f.u.
! total DFT energy (no corrections)	-112.71	eV/cell
! symmetry	Pnma
&SYSTEM
  ibrav = 0, nat = 20, ntyp = 3
/
ATOMIC_SPECIES
Mg 24.30 Mg.upf
Bi 208.98 Bi.upf
O 16.00 O.upf
CELL_PARAMETERS angstrom
5.707 0.000 0.000
0.000 8.293 0.000
0.000 0.000 5.652
ATOMIC_POSITIONS angstrom
Mg 0.161 2.073 0.090
Mg 2.693 6.220 2.916
Mg 3.014 2.073 2.736
Mg 5.546 6.220 5.562
Bi 0.000 0.000 2.826
Bi 0.000 4.146 2.826
Bi 2.853 0.000 0.000
Bi 2.853 4.146 0.000
O 0.684 6.220 3.650
O 0.935 4.801 0.911
O 0.935 7.638 0.911
O 1.918 0.655 3.737
O 1.918 3.492 3.737
O 2.170 2.073 0.824
O 3.537 6.220 4.827
O 3.789 4.801 1.915
O 3.789 7.638 1.915
O 4.771 0.655 4.740
O 4.771 3.492 4.740
O 5.023 2.073 2.002



! Mg4Bi9O18 (PBE-GGA, optimized geometry); values from VASP
! corrected total energy (MP2020 scheme)	-6.026	eV/atom
! calculated formation energy	-56.32	eV/f.u.
! total DFT energy (no corrections)	-174.43	eV/cell
! symmetry	P1
&SYSTEM
  ibrav = 0, nat = 31, ntyp = 3
/
ATOMIC_SPECIES
Mg 24.30 Mg.upf
Bi 208.98 Bi.upf
O 16.00 O.upf
CELL_PARAMETERS angstrom
8.713 0.000 0.000
-2.530 8.415 0.000
-3.120 -4.182 7.151
ATOMIC_POSITIONS angstrom
Mg 0.000 0.000 0.000
Mg -2.059 5.347 2.111
Mg 0.856 2.052 4.846
Mg 3.444 6.678 1.469
Bi -1.740 1.553 2.236
Bi -0.803 -0.951 4.812
Bi -1.998 3.790 5.702
Bi 0.851 3.682 1.183
Bi 3.081 0.245 2.122
Bi 0.595 5.781 4.283
Bi 4.916 3.582 0.117
Bi 3.657 3.920 3.713
Bi 4.608 0.830 5.583
O -1.255 4.236 0.668
O -2.888 4.171 3.541
O -2.637 -0.757 5.908
O -3.853 4.412 6.401
O 0.244 1.669 1.230
O -0.705 1.083 4.029
O -0.549 6.574 2.665
O 0.282 3.729 3.514
O 1.221 -2.622 5.571
O 0.084 0.284 6.323
O 1.833 7.662 0.729
O 3.210 2.728 1.959
O 2.678 0.008 5.240
O 2.744 5.700 3.068
O 2.344 3.253 5.481
O 4.859 0.440 3.380
O 4.977 5.474 1.057
O 7.316 -0.330 1.400



! MgBi2O6 (PBE-GGA, optimized geometry); values from VASP
! corrected total energy (MP2020 scheme)	-5.927	eV/atom
! calculated formation energy	-14.27	eV/f.u.
! total DFT energy (no corrections)	-98.44	eV/cell
! symmetry	Pmn2_1
&SYSTEM
  ibrav = 0, nat = 18, ntyp = 3
/
ATOMIC_SPECIES
Mg 24.30 Mg.upf
Bi 208.98 Bi.upf
O 16.00 O.upf
CELL_PARAMETERS angstrom
7.994 0.000 0.000
0.000 5.819 0.000
0.000 0.000 5.467
ATOMIC_POSITIONS angstrom
Mg 0.000 1.018 0.000
Mg 3.997 4.801 2.733
Bi 1.991 4.305 5.305
Bi 2.006 1.513 2.572
Bi 5.988 1.513 2.572
Bi 6.003 4.305 5.305
O 0.000 1.690 3.473
O 0.000 4.830 4.656
O 1.342 5.735 1.319
O 1.446 2.440 0.680
O 2.551 3.378 3.413
O 2.655 0.084 4.052
O 3.997 0.989 1.923
O 3.997 4.129 0.740
O 5.339 0.084 4.052
O 5.443 3.378 3.413
O 6.548 2.440 0.680
O 6.653 5.735 1.319